Entry 1:
The following is a DFT calculation (PBE with a Hubbard U) of a relaxed structure of MoH4O5.

Geometry as POSCAR:
```
MoH4O5
1.0
-1.8600 3.5489 1.4116
-5.4521 -2.8930 0.0895
0.0132 -2.8966 7.2997
Mo H O
2 8 10
direct
0.9142 0.9947 0.7258
0.0858 0.9947 0.2258
0.5641 0.4332 0.1172
0.7709 0.6257 0.8974
0.2903 0.5552 0.9951
0.4359 0.4332 0.6172
0.2291 0.6257 0.3974
0.7097 0.5552 0.4951
0.9944 0.4257 0.7755
0.0056 0.4257 0.2755
0.0076 0.9872 0.0043
0.9924 0.9872 0.5043
0.5071 0.5006 0.9992
0.4929 0.5006 0.4992
0.5063 0.9943 0.7400
0.4937 0.9943 0.2400
0.0148 0.2972 0.7149
0.9609 0.6793 0.8185
0.0391 0.6793 0.3185
0.9852 0.2972 0.2149
```

Computed properties:
Space-group type: No. 7
Energy with MP2020 corrections in eV per atom: -6.37
Total energy in eV per cell: -114.1


Entry 2:
The following is a DFT calculation (PBE with a Hubbard U) of a relaxed structure of LiV3O5F3.

Geometry as POSCAR:
```
LiV3O5F3
1.0
-1.5113 1.5896 3.0909
-6.0091 -0.1200 -2.8764
-4.6705 -10.8362 3.2891
Li V O F
2 6 10 6
direct
0.0000 0.1859 0.3008
0.5000 0.8090 0.6876
0.5000 0.1355 0.0592
0.5000 0.3163 0.5380
0.5000 0.2442 0.8119
0.0000 0.7350 0.2011
0.0000 0.6838 0.4612
0.0000 0.8899 0.9159
0.0000 0.0387 0.0804
0.5000 0.1437 0.6736
0.0000 0.1941 0.8269
0.0000 0.4947 0.2784
0.0000 0.3844 0.5176
0.5000 0.3515 0.9500
0.5000 0.6141 0.4809
0.0000 0.8642 0.3298
0.0000 0.7757 0.8110
0.5000 0.9696 0.9350
0.5000 0.2093 0.1981
0.5000 0.1730 0.4255
0.0000 0.6580 0.0519
0.5000 0.5074 0.7142
0.5000 0.7969 0.1753
0.0000 0.8250 0.5757
```

Computed properties:
Space-group type: No. 6
Energy with MP2020 corrections in eV per atom: -7.61
Total energy in eV per cell: -162.9


Entry 3:
The following is a DFT calculation (PBE with a Hubbard U) of a relaxed structure of Li9Mn2Co5O16.

Geometry as POSCAR:
```
Li9Mn2Co5O16
1.0
-2.8176 -2.6117 -9.8171
-0.8443 -0.5349 -10.4946
6.3004 -6.9899 -3.0774
Li Mn Co O
9 2 5 16
direct
0.4294 0.4294 0.8092
0.3141 0.3141 0.4536
0.1896 0.1896 0.0584
0.8110 0.8110 0.9290
0.6906 0.6906 0.5697
0.5643 0.5643 0.1800
0.0657 0.0657 0.6781
0.9318 0.9318 0.3310
0.8740 0.8740 0.6230
0.0005 0.0005 0.9968
0.4958 0.4958 0.4998
0.7509 0.7509 0.2578
0.6325 0.6325 0.8695
0.3718 0.3718 0.1235
0.2602 0.2602 0.7413
0.1254 0.1254 0.3750
0.5290 0.5290 0.8626
0.4139 0.4139 0.4689
0.2843 0.2843 0.1047
0.9108 0.9108 0.9753
0.7794 0.7794 0.6017
0.6574 0.6574 0.2307
0.1537 0.1537 0.7280
0.0288 0.0288 0.3592
0.3380 0.3380 0.7865
0.2182 0.2182 0.3985
0.0870 0.0870 0.0247
0.7132 0.7132 0.9066
0.5912 0.5912 0.5157
0.4693 0.4693 0.1342
0.9741 0.9741 0.6355
0.8440 0.8440 0.2715
```

Computed properties:
Space-group type: No. 8
Energy with MP2020 corrections in eV per atom: -6.49
Total energy in eV per cell: -185.3


Entry 4:
The following is a DFT calculation (PBE with a Hubbard U) of a relaxed structure of Mn4CdO5.

Geometry as POSCAR:
```
Mn4CdO5
1.0
-1.6225 1.6225 11.3976
1.6225 -1.6225 11.3976
1.6225 1.6225 -11.3976
Mn Cd O
4 1 5
direct
0.3970 0.3970 0.0000
0.7984 0.7984 0.0000
0.2016 0.2016 0.0000
0.6030 0.6030 0.0000
0.0000 0.0000 0.0000
0.1053 0.1053 0.0000
0.5000 0.5000 0.0000
0.8947 0.8947 0.0000
0.2992 0.2992 0.0000
0.7008 0.7008 0.0000
```

Computed properties:
Space-group type: No. 139
Energy with MP2020 corrections in eV per atom: -8.04
Total energy in eV per cell: -70.3


Record-wise E_form values, in eV/atom: -1.45, -2.64, -1.80, -1.81